1.
A plane-wave DFT calculation with r²SCAN was carried out for crystalline Ag at its relaxed geometry.

```
data_Ag
_symmetry_space_group_name_H-M 'P 1'
_symmetry_Int_Tables_number 1
_cell_length_a 2.946
_cell_length_b 2.946
_cell_length_c 7.403
_cell_angle_alpha 101.48
_cell_angle_beta 78.52
_cell_angle_gamma 120.00
loop_
_symmetry_equiv_pos_as_xyz
'x,y,z'
loop_
_atom_site_label
_atom_site_fract_x
_atom_site_fract_y
_atom_site_fract_z
_atom_site_occupancy
Ag1 0.000 0.000 0.000 1
Ag2 0.222 0.778 0.333 1
Ag3 0.778 0.222 0.667 1
```

Values from the calculation:
The density is 9.9 g cm⁻³. The calculation puts the calculated total energy at -64.04 eV/cell. Its symmetry is No. 166.


2.
A plane-wave DFT calculation with r²SCAN was carried out for crystalline Sm3Al2Ni6 at its relaxed geometry.

```
data_Sm3Al2Ni6
_symmetry_space_group_name_H-M 'P 1'
_symmetry_Int_Tables_number 1
_cell_length_a 7.762
_cell_length_b 7.762
_cell_length_c 7.762
_cell_angle_alpha 109.47
_cell_angle_beta 109.47
_cell_angle_gamma 109.47
loop_
_symmetry_equiv_pos_as_xyz
'x,y,z'
loop_
_atom_site_label
_atom_site_fract_x
_atom_site_fract_y
_atom_site_fract_z
_atom_site_occupancy
Sm1 0.294 0.000 0.294 1
Sm2 0.000 0.294 0.294 1
Sm3 0.000 0.706 0.706 1
Sm4 0.706 0.000 0.706 1
Sm5 0.294 0.294 0.000 1
Sm6 0.706 0.706 0.000 1
Al1 0.500 0.000 0.000 1
Al2 0.000 0.500 0.000 1
Al3 0.500 0.500 0.500 1
Al4 0.000 0.000 0.500 1
Ni1 0.667 0.334 0.667 1
Ni2 0.667 0.333 0.000 1
Ni3 0.333 0.667 0.000 1
Ni4 0.334 0.667 0.667 1
Ni5 0.667 0.667 0.334 1
Ni6 0.333 0.666 0.333 1
Ni7 0.333 0.333 0.666 1
Ni8 0.666 0.333 0.333 1
Ni9 0.000 0.667 0.333 1
Ni10 0.667 0.000 0.333 1
Ni11 0.333 0.000 0.667 1
Ni12 0.000 0.333 0.667 1
```

Values from the calculation:
The density is 7.9 g cm⁻³. The calculation puts the calculated total energy at -359.45 eV/cell. Its symmetry is No. 229.


3.
A plane-wave DFT calculation with r²SCAN was carried out for crystalline NdTe2 at its relaxed geometry.

```
data_NdTe2
_symmetry_space_group_name_H-M 'P 1'
_symmetry_Int_Tables_number 1
_cell_length_a 4.514
_cell_length_b 4.514
_cell_length_c 9.171
_cell_angle_alpha 90.00
_cell_angle_beta 90.00
_cell_angle_gamma 90.00
loop_
_symmetry_equiv_pos_as_xyz
'x,y,z'
loop_
_atom_site_label
_atom_site_fract_x
_atom_site_fract_y
_atom_site_fract_z
_atom_site_occupancy
Nd1 0.750 0.750 0.728 1
Nd2 0.250 0.250 0.272 1
Te1 0.750 0.750 0.370 1
Te2 0.250 0.250 0.630 1
Te3 0.250 0.750 0.000 1
Te4 0.750 0.250 0.000 1
```

Values from the calculation:
The density is 7.1 g cm⁻³. The calculation puts the calculated total energy at -169.34 eV/cell. Its symmetry is No. 129.


4.
A plane-wave DFT calculation with r²SCAN was carried out for crystalline EuAl9Co2 at its relaxed geometry.

```
data_EuAl9Co2
_symmetry_space_group_name_H-M 'P 1'
_symmetry_Int_Tables_number 1
_cell_length_a 7.809
_cell_length_b 7.809
_cell_length_c 3.879
_cell_angle_alpha 90.00
_cell_angle_beta 90.00
_cell_angle_gamma 120.00
loop_
_symmetry_equiv_pos_as_xyz
'x,y,z'
loop_
_atom_site_label
_atom_site_fract_x
_atom_site_fract_y
_atom_site_fract_z
_atom_site_occupancy
Eu1 0.000 0.000 0.000 1
Al1 0.786 0.572 0.500 1
Al2 0.214 0.786 0.500 1
Al3 0.572 0.786 0.500 1
Al4 0.500 0.000 0.000 1
Al5 0.500 0.500 0.000 1
Al6 0.000 0.500 0.000 1
Al7 0.214 0.428 0.500 1
Al8 0.786 0.214 0.500 1
Al9 0.428 0.214 0.500 1
Co1 0.667 0.333 0.000 1
Co2 0.333 0.667 0.000 1
```

Values from the calculation:
The density is 4.2 g cm⁻³. The calculation puts the calculated total energy at -130.57 eV/cell. Its symmetry is No. 191.


5.
A plane-wave DFT calculation with r²SCAN was carried out for crystalline FeB4 at its relaxed geometry.

```
data_FeB4
_symmetry_space_group_name_H-M 'P 1'
_symmetry_Int_Tables_number 1
_cell_length_a 2.997
_cell_length_b 4.510
_cell_length_c 5.250
_cell_angle_alpha 90.00
_cell_angle_beta 90.00
_cell_angle_gamma 90.00
loop_
_symmetry_equiv_pos_as_xyz
'x,y,z'
loop_
_atom_site_label
_atom_site_fract_x
_atom_site_fract_y
_atom_site_fract_z
_atom_site_occupancy
Fe1 0.000 0.500 0.000 1
Fe2 0.500 0.000 0.500 1
B1 0.500 0.163 0.873 1
B2 0.500 0.837 0.127 1
B3 0.000 0.663 0.627 1
B4 0.000 0.337 0.373 1
B5 0.500 0.752 0.813 1
B6 0.500 0.248 0.187 1
B7 0.000 0.252 0.687 1
B8 0.000 0.748 0.313 1
```

Values from the calculation:
The density is 4.6 g cm⁻³. The calculation puts the calculated total energy at -88.51 eV/cell. Its symmetry is No. 58.


6.
A plane-wave DFT calculation with r²SCAN was carried out for crystalline Eu2MgIn at its relaxed geometry.

```
data_Eu2MgIn
_symmetry_space_group_name_H-M 'P 1'
_symmetry_Int_Tables_number 1
_cell_length_a 5.624
_cell_length_b 5.624
_cell_length_c 5.624
_cell_angle_alpha 60.00
_cell_angle_beta 60.00
_cell_angle_gamma 60.00
loop_
_symmetry_equiv_pos_as_xyz
'x,y,z'
loop_
_atom_site_label
_atom_site_fract_x
_atom_site_fract_y
_atom_site_fract_z
_atom_site_occupancy
Eu1 0.250 0.250 0.250 1
Eu2 0.750 0.750 0.750 1
Mg1 0.000 0.000 0.000 1
In1 0.500 0.500 0.500 1
```

Values from the calculation:
The density is 5.8 g cm⁻³. The calculation puts the calculated total energy at -105.24 eV/cell. Its symmetry is No. 225.


7.
A plane-wave DFT calculation with r²SCAN was carried out for crystalline DySCl at its relaxed geometry.

```
data_DySCl
_symmetry_space_group_name_H-M 'P 1'
_symmetry_Int_Tables_number 1
_cell_length_a 6.614
_cell_length_b 6.661
_cell_length_c 6.787
_cell_angle_alpha 90.00
_cell_angle_beta 100.76
_cell_angle_gamma 90.00
loop_
_symmetry_equiv_pos_as_xyz
'x,y,z'
loop_
_atom_site_label
_atom_site_fract_x
_atom_site_fract_y
_atom_site_fract_z
_atom_site_occupancy
Dy1 0.312 0.456 0.206 1
Dy2 0.688 0.544 0.794 1
Dy3 0.312 0.044 0.706 1
Dy4 0.688 0.956 0.294 1
S1 0.436 0.758 0.988 1
S2 0.436 0.742 0.488 1
S3 0.564 0.242 0.012 1
S4 0.564 0.258 0.512 1
Cl1 0.936 0.662 0.165 1
Cl2 0.064 0.162 0.335 1
Cl3 0.064 0.338 0.835 1
Cl4 0.936 0.838 0.665 1
```

Values from the calculation:
The density is 5.2 g cm⁻³. The calculation puts the calculated total energy at -214.27 eV/cell. Its symmetry is No. 14.


8.
A plane-wave DFT calculation with r²SCAN was carried out for crystalline UTeSe at its relaxed geometry.

```
data_UTeSe
_symmetry_space_group_name_H-M 'P 1'
_symmetry_Int_Tables_number 1
_cell_length_a 4.378
_cell_length_b 7.874
_cell_length_c 9.278
_cell_angle_alpha 90.00
_cell_angle_beta 90.00
_cell_angle_gamma 90.00
loop_
_symmetry_equiv_pos_as_xyz
'x,y,z'
loop_
_atom_site_label
_atom_site_fract_x
_atom_site_fract_y
_atom_site_fract_z
_atom_site_occupancy
U1 0.250 0.279 0.630 1
U2 0.250 0.779 0.870 1
U3 0.750 0.721 0.370 1
U4 0.750 0.221 0.130 1
Te1 0.250 0.031 0.339 1
Te2 0.250 0.531 0.161 1
Te3 0.750 0.969 0.661 1
Te4 0.750 0.469 0.839 1
Se1 0.250 0.145 0.932 1
Se2 0.250 0.645 0.568 1
Se3 0.750 0.855 0.068 1
Se4 0.750 0.355 0.432 1
```

Values from the calculation:
The density is 9.2 g cm⁻³. The calculation puts the calculated total energy at -494.44 eV/cell. Its symmetry is No. 62.


9.
A plane-wave DFT calculation with r²SCAN was carried out for crystalline TcO2F3 at its relaxed geometry.

```
data_TcO2F3
_symmetry_space_group_name_H-M 'P 1'
_symmetry_Int_Tables_number 1
_cell_length_a 7.774
_cell_length_b 7.765
_cell_length_c 11.578
_cell_angle_alpha 88.91
_cell_angle_beta 89.33
_cell_angle_gamma 83.99
loop_
_symmetry_equiv_pos_as_xyz
'x,y,z'
loop_
_atom_site_label
_atom_site_fract_x
_atom_site_fract_y
_atom_site_fract_z
_atom_site_occupancy
Tc1 0.470 0.269 0.588 1
Tc2 0.530 0.731 0.412 1
Tc3 0.085 0.245 0.371 1
Tc4 0.915 0.755 0.629 1
Tc5 0.453 0.247 0.121 1
Tc6 0.547 0.753 0.879 1
Tc7 0.051 0.219 0.902 1
Tc8 0.949 0.781 0.098 1
O1 0.392 0.789 0.977 1
O2 0.024 0.205 0.505 1
O3 0.570 0.333 0.702 1
O4 0.976 0.795 0.495 1
O5 0.902 0.261 0.299 1
O6 0.098 0.739 0.701 1
O7 0.582 0.923 0.373 1
O8 0.136 0.778 0.163 1
O9 0.864 0.222 0.837 1
O10 0.863 0.615 0.157 1
O11 0.137 0.385 0.843 1
O12 0.554 0.320 0.231 1
O13 0.446 0.680 0.769 1
O14 0.430 0.667 0.298 1
O15 0.418 0.077 0.627 1
O16 0.608 0.211 0.023 1
F1 0.441 0.023 0.170 1
F2 0.646 0.542 0.937 1
F3 0.354 0.458 0.063 1
F4 0.000 0.000 0.000 1
F5 0.559 0.977 0.830 1
F6 0.274 0.166 0.004 1
F7 0.726 0.834 0.996 1
F8 0.779 0.717 0.782 1
F9 0.221 0.283 0.218 1
F10 0.972 0.322 0.037 1
F11 0.258 0.393 0.616 1
F12 0.837 0.981 0.665 1
F13 0.163 0.019 0.335 1
F14 0.893 0.522 0.618 1
F15 0.107 0.478 0.382 1
F16 0.028 0.678 0.963 1
F17 0.172 0.047 0.817 1
F18 0.828 0.953 0.183 1
F19 0.500 0.500 0.500 1
F20 0.657 0.764 0.571 1
F21 0.343 0.236 0.429 1
F22 0.742 0.607 0.384 1
F23 0.658 0.203 0.496 1
F24 0.342 0.797 0.504 1
```

Values from the calculation:
The density is 3.6 g cm⁻³. The calculation puts the calculated total energy at -470.03 eV/cell. Its symmetry is No. 2.